1.
The following is a DFT calculation (PBE-GGA) of a relaxed structure of Ga2Sb2H16C4S7N2.

The structure in POSCAR format:
```
Ga2Sb2H16C4S7N2
1.0
10.3585 0.0000 0.0000
0.0000 12.7462 0.0000
-0.1914 0.0000 16.4093
Ga Sb H C S N
8 8 64 16 28 8
Direct
0.1002 0.0673 0.2830
0.1002 0.4327 0.7830
0.3956 0.2009 0.2752
0.3956 0.2991 0.7752
0.6044 0.7009 0.2248
0.6044 0.7991 0.7248
0.8998 0.5673 0.2170
0.8998 0.9327 0.7170
0.1055 0.1587 0.7474
0.1055 0.3413 0.2474
0.3914 0.5775 0.7569
0.3914 0.9225 0.2569
0.6086 0.0775 0.7431
0.6086 0.4225 0.2431
0.8945 0.6587 0.7526
0.8945 0.8413 0.2526
0.0636 0.1379 0.9425
0.0636 0.3621 0.4425
0.0666 0.0879 0.0456
0.0666 0.4121 0.5456
0.0943 0.2246 0.0275
0.0943 0.2754 0.5275
0.1159 0.7378 0.0849
0.1159 0.7622 0.5849
0.1263 0.6549 0.9959
0.1263 0.8451 0.4959
0.1947 0.5678 0.1190
0.1947 0.9322 0.6190
0.2366 0.0113 0.9037
0.2366 0.4887 0.4037
0.2406 0.5401 0.5061
0.2406 0.9599 0.0061
0.2470 0.7461 0.5156
0.2470 0.7539 0.0156
0.2880 0.1346 0.0555
0.2885 0.1821 0.9603
0.2885 0.3179 0.4603
0.2880 0.3654 0.5555
0.2995 0.5191 0.9929
0.2995 0.9809 0.4929
0.3101 0.6618 0.1359
0.3101 0.8382 0.6359
0.3847 0.0115 0.9603
0.3847 0.4885 0.4603
0.4037 0.5062 0.0805
0.4037 0.9938 0.5805
0.4197 0.6180 0.0145
0.4197 0.8820 0.5145
0.5803 0.1180 0.4855
0.5803 0.3820 0.9855
0.5963 0.0062 0.4195
0.5963 0.4938 0.9195
0.6153 0.5115 0.5397
0.6153 0.9885 0.0397
0.6899 0.1618 0.3641
0.6899 0.3382 0.8641
0.7005 0.0191 0.5071
0.7005 0.4809 0.0071
0.7120 0.6346 0.4445
0.7115 0.6821 0.5397
0.7115 0.8179 0.0397
0.7120 0.8654 0.9445
0.7530 0.2461 0.9844
0.7530 0.2539 0.4844
0.7594 0.0401 0.9939
0.7594 0.4599 0.4939
0.7634 0.5113 0.5963
0.7634 0.9887 0.0963
0.8053 0.0678 0.3810
0.8053 0.4322 0.8810
0.8737 0.1549 0.5041
0.8737 0.3451 0.0041
0.8841 0.2378 0.4151
0.8841 0.2622 0.9151
0.9057 0.7246 0.4725
0.9057 0.7754 0.9725
0.9334 0.5879 0.4544
0.9334 0.9121 0.9544
0.9364 0.6379 0.5575
0.9364 0.8621 0.0575
0.1072 0.1453 0.0035
0.1072 0.3547 0.5035
0.1808 0.6975 0.0431
0.1808 0.8025 0.5431
0.2797 0.0189 0.9647
0.2797 0.4811 0.4647
0.3521 0.5617 0.0410
0.3521 0.9383 0.5410
0.6479 0.0617 0.4590
0.6479 0.4383 0.9590
0.7203 0.5189 0.5353
0.7203 0.9811 0.0353
0.8192 0.1975 0.4569
0.8192 0.3025 0.9569
0.8928 0.6453 0.4965
0.8928 0.8547 0.9965
0.0238 0.0437 0.6371
0.0238 0.4563 0.1371
0.0346 0.6889 0.2768
0.0346 0.8111 0.7768
0.1932 0.5297 0.6803
0.1932 0.9703 0.1803
0.2510 0.1415 0.3690
0.2510 0.3585 0.8690
0.2980 0.2105 0.6687
0.2980 0.2895 0.1687
0.4734 0.5739 0.2778
0.4727 0.6905 0.6466
0.4727 0.8095 0.1466
0.4734 0.9261 0.7778
0.5266 0.0739 0.2222
0.5273 0.1905 0.8534
0.5273 0.3095 0.3534
0.5266 0.4261 0.7222
0.7020 0.7105 0.8313
0.7020 0.7895 0.3313
0.7490 0.6415 0.1310
0.7490 0.8585 0.6310
0.8068 0.0297 0.8197
0.8068 0.4703 0.3197
0.9654 0.1889 0.2232
0.9654 0.3111 0.7232
0.9762 0.5437 0.8629
0.9762 0.9563 0.3629
0.2482 0.1248 0.9974
0.2482 0.3752 0.4974
0.2587 0.6210 0.0912
0.2587 0.8790 0.5912
0.7413 0.1210 0.4088
0.7413 0.3790 0.9088
0.7518 0.6248 0.5026
0.7518 0.8752 0.0026
```

Output
The total energy comes out at -644.655 eV/cell. The energy relative to the elements is -432 meV/atom.



2.
The following is a DFT calculation (PBE-GGA) of a relaxed structure of Mg6GaC.

The structure in POSCAR format:
```
Mg6GaC
1.0
-4.1199 -2.0375 0.7642
1.4752 -4.3789 -3.7218
4.5067 -5.8578 8.6783
Mg Ga C
12 2 2
Direct
0.5000 0.5000 0.6699
0.0000 0.7734 0.6042
0.5000 0.7533 0.9240
0.0000 0.2734 0.1042
0.5000 0.2467 0.9240
0.0000 0.2266 0.6042
0.5000 0.2533 0.4240
0.0000 0.0000 0.3361
0.0000 0.5000 0.8361
0.5000 0.0000 0.1699
0.0000 0.7266 0.1042
0.5000 0.7467 0.4240
0.0000 0.0000 0.8688
0.0000 0.5000 0.3688
0.5000 0.0000 0.5687
0.5000 0.5000 0.0687
```

Output
The total energy comes out at -37.155 eV/cell. The energy relative to the elements is 410 meV/atom. Its offset from the most stable computed form is 127 meV/atom.



3.
The following is a DFT calculation (PBE-GGA) of a relaxed structure of Mg6GaC.

The structure in POSCAR format:
```
Mg6GaC
1.0
3.8272 0.0000 0.0000
0.0000 8.3272 0.0000
0.0000 0.0000 9.5672
Mg Ga C
12 2 2
Direct
0.0000 0.0000 0.0000
0.0000 0.0000 0.4294
0.0000 0.1765 0.7039
0.0000 0.3235 0.2039
0.0000 0.5000 0.5000
0.0000 0.5000 0.9294
0.0000 0.6765 0.2039
0.0000 0.8235 0.7039
0.5000 0.2419 0.4651
0.5000 0.2581 0.9651
0.5000 0.7419 0.9651
0.5000 0.7581 0.4651
0.5000 0.0000 0.2072
0.5000 0.5000 0.7072
0.5000 0.0000 0.5792
0.5000 0.5000 0.0792
```

Output
The total energy comes out at -39.187 eV/cell. The energy relative to the elements is 283 meV/atom. Its offset from the most stable computed form is 0 meV/atom.



4.
The following is a DFT calculation (PBE-GGA) of a relaxed structure of Mn3GaC.

The structure in POSCAR format:
```
Mn3GaC
1.0
3.9159 0.1490 3.9153
-3.7668 3.7688 -0.0001
-3.7660 0.0006 3.7654
Mn C Ga
6 2 2
Direct
0.0000 0.5000 0.0000
0.0000 0.5000 0.5000
0.0000 0.0000 0.5000
0.5000 0.0000 0.0000
0.5000 0.5000 0.5000
0.5000 0.5000 0.0000
0.2501 0.5001 0.2499
0.7500 0.5000 0.7500
0.0000 0.0000 0.0000
0.5000 0.0000 0.5000
```

Output
The total energy comes out at -80.687 eV/cell. The energy relative to the elements is -120 meV/atom. Its offset from the most stable computed form is 0 meV/atom.



5.
The following is a DFT calculation (PBE-GGA) of a relaxed structure of Ga40Mo8C.

The structure in POSCAR format:
```
Ga40Mo8C
1.0
6.9954 4.0388 5.1076
-6.9954 4.0388 5.1076
0.0000 -8.0776 5.1076
Ga Mo C
40 8 1
Direct
0.0000 0.0000 0.0000
0.0000 0.0000 0.5000
0.0000 0.5000 0.0000
0.0313 0.1732 0.2794
0.0491 0.7230 0.4250
0.1001 0.4677 0.2850
0.1101 0.7640 0.1339
0.1339 0.1101 0.7640
0.1732 0.2794 0.0313
0.1813 0.6262 0.6770
0.2360 0.8661 0.8899
0.2741 0.3901 0.5497
0.2770 0.5750 0.9509
0.2794 0.0313 0.1732
0.2850 0.1001 0.4677
0.3230 0.8187 0.3738
0.3738 0.3230 0.8187
0.3901 0.5497 0.2741
0.4250 0.0491 0.7230
0.4503 0.7259 0.6099
0.4677 0.2850 0.1001
0.5000 0.0000 0.0000
0.5323 0.7150 0.8999
0.5497 0.2741 0.3901
0.5750 0.9509 0.2770
0.6099 0.4503 0.7259
0.6262 0.6770 0.1813
0.6770 0.1813 0.6262
0.7150 0.8999 0.5323
0.7206 0.9687 0.8268
0.7230 0.4250 0.0491
0.7259 0.6099 0.4503
0.7640 0.1339 0.1101
0.8187 0.3738 0.3230
0.8268 0.7206 0.9687
0.8661 0.8899 0.2360
0.8899 0.2360 0.8661
0.8999 0.5323 0.7150
0.9509 0.2770 0.5750
0.9687 0.8268 0.7206
0.1151 0.3916 0.7844
0.2156 0.8849 0.6084
0.2893 0.2893 0.2893
0.3916 0.7844 0.1151
0.6084 0.2156 0.8849
0.7107 0.7107 0.7107
0.7844 0.1151 0.3916
0.8849 0.6084 0.2156
0.5000 0.5000 0.5000
```

Output
The total energy comes out at -220.491 eV/cell. The energy relative to the elements is -69 meV/atom.



6.
The following is a DFT calculation (PBE-GGA) of a relaxed structure of GaC6N9.

The structure in POSCAR format:
```
GaC6N9
1.0
3.5372 -6.6013 0.0000
3.5372 6.6013 0.0000
0.0000 0.0000 11.5630
Ga C N
2 12 18
Direct
0.2191 0.7809 0.7500
0.7809 0.2191 0.2500
0.0368 0.2837 0.7500
0.1955 0.4839 0.0928
0.1955 0.4839 0.4072
0.2837 0.0368 0.2500
0.4839 0.1955 0.5928
0.4839 0.1955 0.9072
0.5161 0.8045 0.0928
0.5161 0.8045 0.4072
0.7163 0.9632 0.7500
0.8045 0.5161 0.5928
0.8045 0.5161 0.9072
0.9632 0.7163 0.2500
0.0291 0.3473 0.1314
0.0291 0.3473 0.3686
0.0769 0.9231 0.2500
0.1507 0.4721 0.7500
0.3473 0.0291 0.6314
0.3473 0.0291 0.8686
0.3743 0.6257 0.0443
0.3743 0.6257 0.4557
0.4721 0.1507 0.2500
0.5279 0.8493 0.7500
0.6257 0.3743 0.5443
0.6257 0.3743 0.9557
0.6527 0.9709 0.1314
0.6527 0.9709 0.3686
0.8493 0.5279 0.2500
0.9231 0.0769 0.7500
0.9709 0.6527 0.6314
0.9709 0.6527 0.8686
```

Output
The total energy comes out at -255.155 eV/cell. The energy relative to the elements is 163 meV/atom.



7.
The following is a DFT calculation (PBE-GGA) of a relaxed structure of Ga2P4C6NO14.

The structure in POSCAR format:
```
Ga2P4C6NO14
1.0
11.4999 -4.6287 0.0000
11.4999 4.6287 0.0000
-2.8112 0.0000 10.1468
Ga P C N O
4 8 12 2 28
Direct
0.2166 0.2311 0.0614
0.2311 0.2166 0.5614
0.7689 0.7834 0.4386
0.7834 0.7689 0.9386
0.0831 0.4231 0.8170
0.1263 0.6438 0.1549
0.3562 0.8737 0.3451
0.4231 0.0831 0.3170
0.5769 0.9169 0.6830
0.6438 0.1263 0.6549
0.8737 0.3562 0.8451
0.9169 0.5769 0.1830
0.0076 0.3286 0.7538
0.1993 0.7707 0.6598
0.2044 0.7014 0.7609
0.2293 0.8007 0.8402
0.2986 0.7956 0.7391
0.3286 0.0076 0.2538
0.6714 0.9924 0.7462
0.7014 0.2044 0.2609
0.7707 0.1993 0.1598
0.7956 0.2986 0.2391
0.8007 0.2293 0.3402
0.9924 0.6714 0.2462
0.3669 0.6331 0.7500
0.6331 0.3669 0.2500
0.0443 0.7102 0.0275
0.0452 0.2440 0.6504
0.0610 0.4005 0.1730
0.0691 0.2897 0.4330
0.1740 0.3728 0.7052
0.1802 0.3626 0.9502
0.2440 0.0452 0.1504
0.2770 0.5777 0.2278
0.2897 0.0691 0.9330
0.2898 0.9557 0.4725
0.3626 0.1802 0.4502
0.3728 0.1740 0.2052
0.4005 0.0610 0.6730
0.4223 0.7230 0.2722
0.5777 0.2770 0.7278
0.5995 0.9390 0.3270
0.6272 0.8260 0.7948
0.6374 0.8198 0.5498
0.7102 0.0443 0.5275
0.7103 0.9309 0.0670
0.7230 0.4223 0.7722
0.7560 0.9548 0.8496
0.8198 0.6374 0.0498
0.8260 0.6272 0.2948
0.9309 0.7103 0.5670
0.9390 0.5995 0.8270
0.9548 0.7560 0.3496
0.9557 0.2898 0.9725
```

Output
The total energy comes out at -348.530 eV/cell. The energy relative to the elements is -859 meV/atom.



8.
The following is a DFT calculation (PBE-GGA) of a relaxed structure of GaSi3C3N.

The structure in POSCAR format:
```
GaSi3C3N
1.0
5.1056 0.0000 0.0000
0.0000 3.1117 0.0000
-0.0234 0.0000 5.3989
Ga Si C N
1 3 3 1
Direct
0.0000 0.0000 0.0000
0.0112 0.5000 0.4979
0.5003 0.5000 0.8260
0.5072 0.0000 0.3324
0.1376 0.0000 0.3479
0.6047 0.0000 0.9940
0.6367 0.5000 0.4988
0.1425 0.5000 0.8092
```

Output
The total energy comes out at -57.614 eV/cell. The energy relative to the elements is -331 meV/atom.



9.
The following is a DFT calculation (PBE-GGA) of a relaxed structure of Sr4GaCN5.

The structure in POSCAR format:
```
Sr4GaCN5
1.0
13.5904 0.0000 0.0000
0.0000 7.4760 0.0000
-1.0592 0.0000 7.4282
Sr Ga C N
16 4 4 20
Direct
0.0128 0.2479 0.4935
0.0128 0.2521 0.9935
0.1808 0.5206 0.7848
0.1808 0.9794 0.2848
0.3318 0.1552 0.6671
0.3318 0.3448 0.1671
0.3534 0.6786 0.5151
0.3534 0.8214 0.0151
0.6466 0.1786 0.9849
0.6466 0.3214 0.4849
0.6682 0.6552 0.8329
0.6682 0.8448 0.3329
0.8192 0.0206 0.7152
0.8192 0.4794 0.2152
0.9872 0.7479 0.0065
0.9872 0.7521 0.5065
0.1454 0.5136 0.2908
0.1454 0.9864 0.7908
0.8546 0.0136 0.2092
0.8546 0.4864 0.7092
0.4540 0.0522 0.2948
0.4540 0.4478 0.7948
0.5460 0.5522 0.2052
0.5460 0.9478 0.7052
0.0037 0.5039 0.2566
0.0037 0.9961 0.7566
0.2183 0.6554 0.1409
0.2183 0.8446 0.6409
0.2252 0.1427 0.9576
0.2252 0.3573 0.4576
0.3786 0.0034 0.3579
0.3786 0.4966 0.8579
0.4763 0.6059 0.2802
0.4763 0.8941 0.7802
0.5237 0.1059 0.2198
0.5237 0.3941 0.7198
0.6214 0.5034 0.1421
0.6214 0.9966 0.6421
0.7748 0.6427 0.5424
0.7748 0.8573 0.0424
0.7817 0.1554 0.3591
0.7817 0.3446 0.8591
0.9963 0.0039 0.2434
0.9963 0.4961 0.7434
```

Output
The total energy comes out at -273.873 eV/cell. The energy relative to the elements is -871 meV/atom.



10.
The following is a DFT calculation (PBE-GGA) of a relaxed structure of Na2GaPCO7.

The structure in POSCAR format:
```
Na2GaPCO7
1.0
5.1752 0.0000 0.0000
0.0000 6.5256 0.0000
-0.0729 0.0000 8.9640
Na Ga P C O
4 2 2 2 14
Direct
0.2331 0.0031 0.2721
0.2331 0.4969 0.2721
0.7669 0.5031 0.7279
0.7669 0.9969 0.7279
0.2218 0.2500 0.8517
0.7782 0.7500 0.1483
0.2855 0.7500 0.9273
0.7145 0.2500 0.0727
0.2690 0.2500 0.5772
0.7310 0.7500 0.4228
0.0436 0.2500 0.6425
0.1442 0.7500 0.0802
0.2121 0.5585 0.8350
0.2121 0.9415 0.8350
0.3005 0.2500 0.4381
0.4140 0.2500 0.0413
0.4648 0.2500 0.6743
0.5352 0.7500 0.3257
0.5860 0.7500 0.9587
0.6995 0.7500 0.5619
0.7879 0.0585 0.1650
0.7879 0.4415 0.1650
0.8558 0.2500 0.9198
0.9564 0.7500 0.3575
```

Output
The total energy comes out at -156.769 eV/cell. The energy relative to the elements is -2354 meV/atom.



Question: The highest energy relative to the elements belongs to which entry?
Answer: number 2